TbFeSi2 after structural relaxation, computed with PBE.

Cell: 4.000 16.600 3.979 Å, 90.00 90.00 90.00°
Atoms (fractional coordinates):
Tb 0.000 0.108 0.250
Tb 0.000 0.892 0.750
Tb 0.500 0.392 0.750
Tb 0.500 0.608 0.250
Fe 0.000 0.251 0.750
Fe 0.000 0.749 0.250
Fe 0.500 0.249 0.250
Fe 0.500 0.751 0.750
Si 0.000 0.314 0.250
Si 0.000 0.463 0.250
Si 0.000 0.537 0.750
Si 0.000 0.686 0.750
Si 0.500 0.037 0.750
Si 0.500 0.186 0.750
Si 0.500 0.814 0.250
Si 0.500 0.963 0.250

Summary:
Total magnetic moment: 0.14 μB per formula unit
Electronic total energy: -106.7 eV for the cell shown